A relaxed structure of TbAl3. Source: the Materials Project database, functional PBE.

It has space group R-3m (No. 166, hexagonal axes), with a = 6.1436 Å, b = 6.1436 Å, c = 36.0032 Å, α = 90.00°, β = 90.00° and γ = 120.00°. The inequivalent atoms are Tb at (0.0000, 0.0000, 0.0000), Tb at (0.0000, 0.0000, 0.1308), Tb at (0.0000, 0.0000, 0.4002), Al at (0.0000, 0.5000, 0.0000), Al at (0.0055, 0.5028, 0.8663) and Al at (0.0374, 0.5187, 0.3998).

The uncorrected energy is -4.399 eV per atom.